No. 1
A relaxed structure of Na2CaSnP2SO12, computed with PBE.

Computed properties:
ΔE_f, eV per formula unit: -47.66
Energy, eV per formula unit: -122.418
Size of the total moment, μB/f.u.: 0.0
MP2020-corrected energy, eV for the cell shown: -784.0

Unit cell a=9.1256 b=9.1716 c=22.6902 alpha=90.88 beta=90.00 gamma=119.83
Last column: nearest neighbours and their distance in Å.
Sites, in units of the cell vectors:
Na1 0.9962 0.6397 0.2421  4 O 2.36-2.59
Na2 0.6434 0.6397 0.7421  4 O 2.36-2.59
Na3 0.6629 0.9730 0.5754  4 O 2.36-2.59
Na4 0.3101 0.9730 0.0754  4 O 2.36-2.59
Na5 0.3296 0.3063 0.9087  4 O 2.36-2.59
Na6 0.9767 0.3063 0.4087  4 O 2.36-2.59
Na7 0.9924 0.9585 0.4984  3 O 2.38-2.50
Na8 0.9661 0.9585 0.9984  3 O 2.38-2.50
Na9 0.6591 0.2919 0.8317  3 O 2.38-2.50
Na10 0.6328 0.2919 0.3317  3 O 2.38-2.50
Na11 0.3258 0.6252 0.1650  3 O 2.38-2.50
Na12 0.2995 0.6252 0.6650  3 O 2.38-2.50
Ca1 0.9995 0.9969 0.3551  6 O 2.17-2.31
Ca2 0.9974 0.9969 0.8551  6 O 2.17-2.31
Ca3 0.6662 0.3303 0.6884  6 O 2.17-2.31
Ca4 0.6641 0.3303 0.1884  6 O 2.17-2.31
Ca5 0.3329 0.6636 0.0218  6 O 2.17-2.31
Ca6 0.3307 0.6636 0.5218  6 O 2.17-2.31
Sn1 0.9991 0.0086 0.6504  6 O 2.05-2.22
Sn2 0.0095 0.0086 0.1504  6 O 2.05-2.22
Sn3 0.6658 0.3419 0.9837  6 O 2.05-2.22
Sn4 0.6761 0.3419 0.4837  6 O 2.05-2.22
Sn5 0.3324 0.6752 0.3171  6 O 2.05-2.22
Sn6 0.3428 0.6752 0.8171  6 O 2.05-2.22
P1 0.2935 0.9864 0.2504  4 O 1.50-1.61
P2 0.0166 0.3066 0.2554  4 O 1.51-1.60
P3 0.2900 0.3066 0.7554  4 O 1.51-1.60
P4 0.6929 0.9864 0.7504  4 O 1.50-1.61
P5 0.9602 0.3198 0.5837  4 O 1.50-1.61
P6 0.6833 0.6400 0.5887  4 O 1.51-1.60
P7 0.9566 0.6400 0.0887  4 O 1.51-1.60
P8 0.3596 0.3198 0.0837  4 O 1.50-1.61
P9 0.6269 0.6531 0.9171  4 O 1.50-1.61
P10 0.3500 0.9733 0.9221  4 O 1.51-1.60
P11 0.6233 0.9733 0.4221  4 O 1.51-1.60
P12 0.0262 0.6531 0.4171  4 O 1.50-1.61
S1 0.6946 0.7167 0.2490  4 O 1.45-1.52
S2 0.0221 0.7167 0.7490  4 O 1.45-1.52
S3 0.3613 0.0501 0.5824  4 O 1.45-1.52
S4 0.6888 0.0501 0.0824  4 O 1.45-1.52
S5 0.0280 0.3834 0.9157  4 O 1.45-1.52
S6 0.3554 0.3834 0.4157  4 O 1.45-1.52
O1 0.1960 0.9935 0.3026  1 P 1.50
O2 0.7904 0.7994 0.3022  1 S 1.45
O3 0.0006 0.2167 0.3122  1 P 1.51
O4 0.2160 0.2167 0.8122  1 P 1.51
O5 0.0090 0.7994 0.8022  1 S 1.45
O6 0.7975 0.9935 0.8026  1 P 1.50
O7 0.7730 0.9582 0.6908  1 P 1.61
O8 0.1781 0.2097 0.6988  1 P 1.59
O9 0.0418 0.8184 0.6946  1 S 1.52
O10 0.7766 0.8184 0.1946  1 S 1.52
O11 0.0316 0.2097 0.1988  1 P 1.59
O12 0.1851 0.9582 0.1908  1 P 1.61
O13 0.8626 0.3268 0.6359  1 P 1.50
O14 0.4571 0.1327 0.6355  1 S 1.45
O15 0.6673 0.5500 0.6455  1 P 1.51
O16 0.8827 0.5500 0.1455  1 P 1.51
O17 0.6756 0.1327 0.1355  1 S 1.45
O18 0.4642 0.3268 0.1359  1 P 1.50
O19 0.4397 0.2915 0.0242  1 P 1.61
O20 0.8448 0.5430 0.0322  1 P 1.59
O21 0.7084 0.1517 0.0279  1 S 1.52
O22 0.4433 0.1517 0.5279  1 S 1.52
O23 0.6982 0.5430 0.5322  1 P 1.59
O24 0.8518 0.2915 0.5242  1 P 1.61
O25 0.5293 0.6602 0.9692  1 P 1.50
O26 0.1237 0.4661 0.9688  1 S 1.45
O27 0.3340 0.8833 0.9788  1 P 1.51
O28 0.5494 0.8833 0.4788  1 P 1.51
O29 0.3423 0.4661 0.4688  1 S 1.45
O30 0.1309 0.6602 0.4692  1 P 1.50
O31 0.1064 0.6248 0.3575  1 P 1.61
O32 0.5115 0.8764 0.3655  1 P 1.59
O33 0.3751 0.4851 0.3613  1 S 1.52
O34 0.1100 0.4851 0.8613  1 S 1.52
O35 0.3649 0.8764 0.8655  1 P 1.59
O36 0.5185 0.6248 0.8575  1 P 1.61
O37 0.9954 0.7999 0.4146  1 P 1.51
O38 0.8060 0.0122 0.4156  1 P 1.53
O39 0.2045 0.2167 0.4108  1 S 1.46
O40 0.0121 0.2167 0.9108  1 S 1.46
O41 0.2061 0.0122 0.9156  1 P 1.53
O42 0.8046 0.7999 0.9146  1 P 1.51
O43 0.9636 0.1467 0.5847  1 P 1.60
O44 0.1888 0.0338 0.5844  1 S 1.51
O45 0.8559 0.8162 0.5880  1 P 1.60
O46 0.9603 0.8162 0.0880  1 P 1.60
O47 0.8450 0.0338 0.0844  1 S 1.51
O48 0.1831 0.1467 0.0847  1 P 1.60
O49 0.6620 0.1333 0.7479  1 P 1.51
O50 0.4727 0.3455 0.7489  1 P 1.53
O51 0.8712 0.5500 0.7442  1 S 1.46
O52 0.6788 0.5500 0.2442  1 S 1.46
O53 0.8728 0.3455 0.2489  1 P 1.53
O54 0.4712 0.1333 0.2479  1 P 1.51
O55 0.6302 0.4800 0.9181  1 P 1.60
O56 0.8554 0.3671 0.9177  1 S 1.51
O57 0.5226 0.1495 0.9213  1 P 1.60
O58 0.6269 0.1495 0.4213  1 P 1.60
O59 0.5117 0.3671 0.4177  1 S 1.51
O60 0.8498 0.4800 0.4181  1 P 1.60
O61 0.3287 0.4666 0.0812  1 P 1.51
O62 0.1394 0.6788 0.0823  1 P 1.53
O63 0.5379 0.8833 0.0775  1 S 1.46
O64 0.3455 0.8833 0.5775  1 S 1.46
O65 0.5395 0.6788 0.5823  1 P 1.53
O66 0.1379 0.4666 0.5812  1 P 1.51
O67 0.2969 0.8133 0.2514  1 P 1.60
O68 0.5221 0.7005 0.2511  1 S 1.51
O69 0.1892 0.4828 0.2547  1 P 1.60
O70 0.2936 0.4828 0.7547  1 P 1.60
O71 0.1784 0.7005 0.7511  1 S 1.51
O72 0.5164 0.8133 0.7514  1 P 1.60


No. 2
A relaxed structure of Na2CaSn3P4S2O24, computed with PBE.

Computed properties:
ΔE_f, eV per formula unit: -86.99
Energy, eV per formula unit: -235.856
Size of the total moment, μB/f.u.: 0.0
MP2020-corrected energy, eV for the cell shown: -757.0

Unit cell a=8.8595 b=8.8624 c=23.2310 alpha=90.18 beta=90.12 gamma=119.96
Last column: nearest neighbours and their distance in Å.
Sites, in units of the cell vectors:
Na1 0.0000 0.0000 0.0000  6 O 2.45-2.70
Na2 0.0007 0.0073 0.4901  6 O 2.53-2.69
Na3 0.3230 0.6726 0.8295  6 O 2.51-2.70
Na4 0.3238 0.6639 0.3258  6 O 2.46-2.67
Na5 0.6565 0.3458 0.1668  5 O 2.50-2.73
Na6 0.6666 0.3323 0.6622  6 O 2.57-2.72
Ca1 0.3293 0.6736 0.6882  6 O 2.19-2.29
Ca2 0.3349 0.6737 0.1836  6 O 2.23-2.30
Ca3 0.6704 0.3434 0.5100  6 O 2.16-2.38
Sn1 0.0063 0.0115 0.8538  6 O 2.00-2.11
Sn2 0.0068 0.0074 0.3492  6 O 1.98-2.08
Sn3 0.0081 0.0169 0.6479  6 O 2.02-2.16
Sn4 0.0075 0.9944 0.1470  5 O 2.02-2.18
Sn5 0.3334 0.6747 0.4740  6 O 2.02-2.21
Sn6 0.3415 0.6813 0.9803  6 O 2.04-2.18
Sn7 0.6643 0.3451 0.3155  6 O 2.04-2.22
Sn8 0.6647 0.3418 0.0129  6 O 2.02-2.12
Sn9 0.6662 0.3342 0.8145  6 O 2.03-2.19
P1 0.2949 0.0185 0.7513  4 O 1.51-1.58
P2 0.2951 0.2919 0.2492  4 O 1.51-1.58
P3 0.3370 0.9750 0.0786  4 O 1.49-1.58
P4 0.3698 0.0423 0.4133  4 O 1.50-1.57
P5 0.3774 0.3464 0.9137  4 O 1.53-1.55
P6 0.6369 0.6760 0.0794  4 O 1.49-1.58
P7 0.6677 0.0467 0.9144  4 O 1.54-1.56
P8 0.6705 0.6454 0.4136  4 O 1.50-1.57
P9 0.9616 0.6312 0.9138  4 O 1.54-1.56
P10 0.9654 0.3378 0.4125  4 O 1.50-1.58
P11 0.9901 0.2899 0.7514  4 O 1.51-1.58
P12 0.9902 0.7067 0.2504  4 O 1.50-1.58
S1 0.0342 0.3720 0.0781  4 O 1.44-1.51
S2 0.0416 0.6850 0.5818  4 O 1.45-1.53
S3 0.3270 0.3752 0.5813  4 O 1.45-1.53
S4 0.6366 0.9652 0.5823  4 O 1.45-1.54
S5 0.7195 0.0186 0.2487  4 O 1.45-1.51
S6 0.7202 0.7148 0.7503  4 O 1.45-1.50
O1 0.0054 0.1950 0.8044  1 P 1.54
O2 0.0061 0.8184 0.3031  1 P 1.53
O3 0.0135 0.1947 0.0832  1 S 1.49
O4 0.0298 0.8514 0.5852  1 S 1.53
O5 0.1059 0.4751 0.1297  1 S 1.44
O6 0.1263 0.6701 0.6332  1 S 1.45
O7 0.1439 0.4521 0.0253  1 S 1.51
O8 0.1443 0.6496 0.9209  1 P 1.55
O9 0.1469 0.7087 0.5281  1 S 1.51
O10 0.1513 0.5061 0.4170  1 P 1.58
O11 0.1521 0.4666 0.7495  1 P 1.51
O12 0.1521 0.6919 0.2477  1 P 1.50
O13 0.1594 0.1973 0.5832  1 S 1.53
O14 0.1725 0.9988 0.0825  1 P 1.58
O15 0.1794 0.9923 0.8041  1 P 1.54
O16 0.1820 0.2027 0.3021  1 P 1.54
O17 0.1835 0.0139 0.4054  1 P 1.55
O18 0.1940 0.1817 0.9088  1 P 1.55
O19 0.2115 0.1844 0.1921  1 P 1.58
O20 0.2141 0.0433 0.6941  1 P 1.58
O21 0.3009 0.8588 0.0232  1 P 1.58
O22 0.3042 0.4578 0.5278  1 S 1.51
O23 0.3198 0.4725 0.2467  1 P 1.51
O24 0.3218 0.8636 0.7494  1 P 1.51
O25 0.3400 0.4724 0.6332  1 S 1.45
O26 0.3517 0.8566 0.4172  1 P 1.57
O27 0.3564 0.5088 0.9211  1 P 1.55
O28 0.3653 0.9005 0.1324  1 P 1.49
O29 0.4380 0.1411 0.4684  1 P 1.50
O30 0.4573 0.3117 0.9671  1 P 1.53
O31 0.4730 0.1932 0.7553  1 P 1.57
O32 0.4735 0.2949 0.2540  1 P 1.57
O33 0.4755 0.3483 0.5774  1 S 1.45
O34 0.4856 0.1257 0.3592  1 P 1.56
O35 0.4893 0.3781 0.8590  1 P 1.55
O36 0.5008 0.1583 0.0692  1 P 1.56
O37 0.5016 0.6607 0.4185  1 P 1.57
O38 0.5035 0.8646 0.9204  1 P 1.55
O39 0.5295 0.6409 0.1324  1 P 1.49
O40 0.5377 0.8803 0.6336  1 S 1.45
O41 0.5475 0.6947 0.7468  1 S 1.45
O42 0.5471 0.8654 0.2457  1 S 1.45
O43 0.5542 0.7050 0.0234  1 P 1.57
O44 0.5546 0.8601 0.5283  1 S 1.51
O45 0.6340 0.1237 0.8594  1 P 1.55
O46 0.6346 0.5281 0.3595  1 P 1.56
O47 0.6636 0.1408 0.5782  1 S 1.45
O48 0.6674 0.5183 0.0698  1 P 1.57
O49 0.7023 0.1634 0.9676  1 P 1.54
O50 0.7056 0.5786 0.4682  1 P 1.50
O51 0.7085 0.1808 0.2532  1 S 1.49
O52 0.7092 0.5414 0.7542  1 S 1.49
O53 0.8047 0.8207 0.8022  1 S 1.48
O54 0.8047 0.9990 0.3007  1 S 1.48
O55 0.8143 0.9746 0.5852  1 S 1.54
O56 0.8206 0.5247 0.2548  1 P 1.57
O57 0.8210 0.8465 0.0846  1 P 1.58
O58 0.8215 0.3051 0.7546  1 P 1.57
O59 0.8231 0.7927 0.6963  1 S 1.50
O60 0.8235 0.0418 0.1949  1 S 1.51
O61 0.8260 0.8317 0.4040  1 P 1.55
O62 0.8307 0.0251 0.9086  1 P 1.56
O63 0.8478 0.5500 0.9672  1 P 1.54
O64 0.8576 0.3519 0.0694  1 S 1.50
O65 0.8668 0.5356 0.5777  1 S 1.45
O66 0.8685 0.3071 0.4679  1 P 1.50
O67 0.8795 0.3694 0.3587  1 P 1.56
O68 0.8809 0.5205 0.8585  1 P 1.55
O69 0.9571 0.7828 0.1936  1 P 1.58
O70 0.9583 0.1806 0.6943  1 P 1.58
O71 0.9792 0.8145 0.9078  1 P 1.56
O72 0.9930 0.1800 0.4033  1 P 1.55